Entry 1:
This record from Materials Project describes an optimized crystal structure of FeSO10. The functional is GGA+U.

The structure in CIF format:
```
data_FeSO10
_chemical_formula_sum 'Fe18 S18 O180'
_symmetry_space_group_name_H-M 'R -3'
_symmetry_Int_Tables_number 148
_symmetry_space_group_name_Hall '-R 3'
_cell_length_a 24.0325
_cell_length_b 24.0325
_cell_length_c 7.4357
_cell_angle_alpha 90.00
_cell_angle_beta 90.00
_cell_angle_gamma 120.00
loop_
_atom_site_label
_atom_site_type_symbol
_atom_site_fract_x
_atom_site_fract_y
_atom_site_fract_z
Fe1 Fe 0.0016 0.2860 0.4867
S1 S 0.0714 0.5956 0.8421
O1 O 0.0010 0.5740 0.8028
O2 O 0.0029 0.3012 0.2456
O3 O 0.0051 0.9478 0.0405
O4 O 0.0095 0.1245 0.4788
O5 O 0.0153 0.1662 0.3732
O6 O 0.0309 0.7867 0.3482
O7 O 0.0315 0.8103 0.0291
O8 O 0.0494 0.5542 0.3524
O9 O 0.0767 0.5385 0.8715
O10 O 0.0921 0.5451 0.4070
```

## Properties
E_tot = -5.318 eV/atom
E above lowest polymorph = 0.437 eV per formula unit
ΔE_f = -3.98 eV per formula unit

***

Entry 2:
This record from Materials Project describes an optimized crystal structure of MoH8N3F6. The functional is GGA+U.

The structure in CIF format:
```
data_MoH8N3F6
_chemical_formula_sum 'Mo4 H32 N12 F24'
_symmetry_space_group_name_H-M 'F m -3 m'
_symmetry_Int_Tables_number 225
_symmetry_space_group_name_Hall '-F 4 2 3'
_cell_length_a 9.628
_cell_length_b 9.628
_cell_length_c 9.628
_cell_angle_alpha 90.00
_cell_angle_beta 90.00
_cell_angle_gamma 90.00
loop_
_atom_site_label
_atom_site_type_symbol
_atom_site_fract_x
_atom_site_fract_y
_atom_site_fract_z
Mo1 Mo 0.000 0.000 0.000
H1 H 0.188 0.188 0.188
N1 N 0.000 0.000 0.500
N2 N 0.250 0.250 0.250
F1 F 0.000 0.000 0.207
```

## Properties
E_tot = -4.913 eV/atom
ΔE_f = -19.93 eV per formula unit

***

Entry 3:
This record from Materials Project describes an optimized crystal structure of Ca3Ta6Fe4O24. The functional is GGA+U.

The structure in CIF format:
```
data_Ca3Ta6Fe4O24
_chemical_formula_sum 'Ca3 Ta6 Fe4 O24'
_symmetry_space_group_name_H-M 'P -1'
_symmetry_Int_Tables_number 2
_symmetry_space_group_name_Hall '-P 1'
_cell_length_a 7.027
_cell_length_b 8.686
_cell_length_c 10.570
_cell_angle_alpha 108.85
_cell_angle_beta 100.73
_cell_angle_gamma 107.25
loop_
_atom_site_label
_atom_site_type_symbol
_atom_site_fract_x
_atom_site_fract_y
_atom_site_fract_z
Ca1 Ca 0.000 0.000 0.000
Ca2 Ca 0.006 0.501 0.691
Ta1 Ta 0.029 0.887 0.631
Ta2 Ta 0.291 0.762 0.168
Ta3 Ta 0.421 0.401 0.243
Fe1 Fe 0.275 0.357 0.900
Fe2 Fe 0.480 0.822 0.515
O1 O 0.014 0.629 0.149
O2 O 0.052 0.238 0.259
O3 O 0.157 0.757 0.518
O4 O 0.186 0.116 0.764
O5 O 0.221 0.131 0.479
O6 O 0.249 0.895 0.075
O7 O 0.255 0.268 0.053
O8 O 0.316 0.486 0.769
O9 O 0.349 0.593 0.337
O10 O 0.412 0.607 0.069
O11 O 0.440 0.925 0.360
O12 O 0.491 0.283 0.348
```

## Properties
E_tot = -8.406 eV/atom
E above lowest polymorph = 0.000 eV per formula unit
ΔE_f = -106.75 eV per formula unit

***

Entry 4:
This record from Materials Project describes an optimized crystal structure of Li5Mn8B8O24. The functional is GGA+U.

The structure in CIF format:
```
data_Li5Mn8B8O24
_chemical_formula_sum 'Li5 Mn8 B8 O24'
_symmetry_space_group_name_H-M 'P 1'
_symmetry_Int_Tables_number 1
_symmetry_space_group_name_Hall 'P 1'
_cell_length_a 5.276
_cell_length_b 9.130
_cell_length_c 11.431
_cell_angle_alpha 67.31
_cell_angle_beta 77.45
_cell_angle_gamma 88.71
loop_
_atom_site_label
_atom_site_type_symbol
_atom_site_fract_x
_atom_site_fract_y
_atom_site_fract_z
Li1 Li 0.000 0.000 0.000
Li2 Li 0.015 0.030 0.262
Li3 Li 0.217 0.270 0.493
Li4 Li 0.529 0.514 0.978
Li5 Li 0.779 0.807 0.721
Mn1 Mn 0.018 0.684 0.270
Mn2 Mn 0.263 0.914 0.520
Mn3 Mn 0.270 0.598 0.766
Mn4 Mn 0.495 0.224 0.265
Mn5 Mn 0.496 0.823 0.023
Mn6 Mn 0.709 0.429 0.517
Mn7 Mn 0.761 0.124 0.772
Mn8 Mn 0.981 0.323 0.023
B1 B 0.209 0.578 0.514
B2 B 0.271 0.935 0.777
B3 B 0.465 0.154 0.031
B4 B 0.505 0.873 0.277
B5 B 0.727 0.082 0.526
B6 B 0.785 0.458 0.766
B7 B 0.979 0.366 0.288
B8 B 0.991 0.646 0.024
O1 O 0.000 0.410 0.817
O2 O 0.090 0.743 0.079
O3 O 0.098 0.026 0.817
O4 O 0.165 0.554 0.977
O5 O 0.194 0.845 0.710
O6 O 0.199 0.125 0.057
O7 O 0.223 0.366 0.306
O8 O 0.284 0.683 0.561
O9 O 0.332 0.443 0.525
O10 O 0.351 0.974 0.330
O11 O 0.373 0.786 0.229
O12 O 0.478 0.106 0.494
O13 O 0.516 0.916 0.805
O14 O 0.567 0.274 0.059
O15 O 0.635 0.062 0.982
O16 O 0.652 0.583 0.779
O17 O 0.701 0.370 0.703
O18 O 0.738 0.647 0.017
O19 O 0.765 0.872 0.266
O20 O 0.805 0.475 0.322
O21 O 0.828 0.199 0.558
O22 O 0.861 0.954 0.527
O23 O 0.891 0.267 0.236
O24 O 0.988 0.609 0.459
```

## Properties
E_tot = -7.449 eV/atom
E above lowest polymorph = 0.074 eV per formula unit
ΔE_f = -109.99 eV per formula unit